Record 1
VASP calculation (PBE with a Hubbard U) on a geometry-optimized LiNiP3O9 structure.

POSCAR file:
```
LiNiP3O9
1.0
7.208 0.000 0.000
0.000 9.072 0.000
0.000 0.000 11.773
Li Ni P O
4 4 12 36
Direct
0.750 0.958 0.022
0.750 0.458 0.478
0.250 0.542 0.522
0.250 0.042 0.978
0.750 0.520 0.709
0.750 0.020 0.791
0.250 0.980 0.209
0.250 0.480 0.291
0.958 0.752 0.348
0.958 0.252 0.152
0.750 0.307 0.953
0.750 0.807 0.547
0.542 0.252 0.152
0.542 0.752 0.348
0.458 0.248 0.652
0.458 0.748 0.848
0.250 0.193 0.453
0.250 0.693 0.047
0.042 0.248 0.652
0.042 0.748 0.848
0.970 0.648 0.758
0.970 0.148 0.742
0.939 0.886 0.882
0.939 0.386 0.618
0.922 0.346 0.037
0.922 0.846 0.463
0.750 0.698 0.312
0.750 0.408 0.856
0.750 0.908 0.644
0.750 0.141 0.938
0.750 0.198 0.188
0.750 0.641 0.562
0.578 0.346 0.037
0.578 0.846 0.463
0.561 0.886 0.882
0.561 0.386 0.618
0.530 0.648 0.758
0.530 0.148 0.742
0.470 0.852 0.258
0.470 0.352 0.242
0.439 0.114 0.118
0.439 0.614 0.382
0.422 0.154 0.537
0.422 0.654 0.963
0.250 0.859 0.062
0.250 0.592 0.144
0.250 0.359 0.438
0.250 0.092 0.356
0.250 0.302 0.688
0.250 0.802 0.812
0.078 0.154 0.537
0.078 0.654 0.963
0.061 0.614 0.382
0.061 0.114 0.118
0.030 0.352 0.242
0.030 0.852 0.258
```

total magnetization = 2.00 μB/f.u.
total DFT energy (no corrections) = -6.713 eV per atom
relative energy among the computed polymorphs = 52 meV per atom
crystal system = orthorhombic
formation energy = -236.0 kJ/mol of atoms

---

Record 2
VASP calculation (PBE with a Hubbard U) on a geometry-optimized LiV2F6 structure.

POSCAR file:
```
LiV2F6
1.0
-3.913 -1.775 2.071
2.716 -2.881 2.660
0.517 6.664 6.689
Li V F
2 4 12
Direct
0.500 0.500 0.500
0.000 0.000 0.000
0.000 0.000 0.667
0.500 0.500 0.167
0.500 0.500 0.833
0.000 0.000 0.333
0.699 0.699 0.669
0.301 0.301 0.669
0.306 0.306 0.000
0.194 0.806 0.500
0.806 0.194 0.500
0.694 0.694 0.000
0.301 0.301 0.331
0.199 0.801 0.831
0.801 0.199 0.831
0.801 0.199 0.169
0.199 0.801 0.169
0.699 0.699 0.331
```

total DFT energy (no corrections) = -5.969 eV per atom
crystal system = tetragonal
formation energy = -303.7 kJ/mol of atoms

---

Record 3
VASP calculation (PBE with a Hubbard U) on a geometry-optimized MgMnGeO4 structure.

POSCAR file:
```
MgMnGeO4
1.0
-5.012 0.000 0.000
0.000 0.000 -6.237
0.000 -10.833 0.000
Mg Mn Ge O
4 4 4 16
Direct
0.500 0.000 0.500
0.000 0.500 0.000
0.500 0.500 0.500
0.000 0.000 0.000
0.500 0.750 0.222
0.000 0.750 0.722
0.500 0.250 0.778
0.000 0.250 0.278
0.934 0.750 0.409
0.566 0.750 0.909
0.066 0.250 0.591
0.434 0.250 0.091
0.741 0.750 0.056
0.759 0.750 0.556
0.259 0.250 0.944
0.241 0.250 0.444
0.284 0.750 0.414
0.216 0.750 0.914
0.716 0.250 0.586
0.784 0.250 0.086
0.770 0.975 0.341
0.730 0.525 0.841
0.230 0.475 0.659
0.270 0.025 0.159
0.230 0.025 0.659
0.270 0.475 0.159
0.770 0.525 0.341
0.730 0.975 0.841
```

total magnetization = 5.00 μB/f.u.
total DFT energy (no corrections) = -6.819 eV per atom
crystal system = orthorhombic
formation energy = -233.9 kJ/mol of atoms

---

Record 4
VASP calculation (PBE with a Hubbard U) on a geometry-optimized Mg3Ni2Ge3O12 structure.

POSCAR file:
```
Mg3Ni2Ge3O12
1.0
-5.981 5.981 5.981
5.981 -5.981 5.981
5.981 5.981 -5.981
Mg Ni Ge O
12 8 12 48
Direct
0.250 0.875 0.625
0.750 0.625 0.875
0.625 0.875 0.750
0.875 0.625 0.250
0.625 0.250 0.875
0.875 0.750 0.625
0.750 0.125 0.375
0.250 0.375 0.125
0.375 0.125 0.250
0.125 0.375 0.750
0.375 0.750 0.125
0.125 0.250 0.375
0.500 0.500 0.500
0.500 0.000 0.500
0.000 0.500 0.500
0.500 0.500 0.000
0.000 0.000 0.500
0.000 0.500 0.000
0.500 0.000 0.000
0.000 0.000 0.000
0.125 0.750 0.875
0.875 0.250 0.125
0.625 0.375 0.250
0.750 0.875 0.125
0.875 0.125 0.750
0.250 0.625 0.375
0.750 0.375 0.625
0.250 0.125 0.875
0.125 0.875 0.250
0.375 0.625 0.750
0.625 0.750 0.375
0.375 0.250 0.625
0.418 0.820 0.789
0.872 0.402 0.082
0.098 0.969 0.680
0.531 0.628 0.711
0.680 0.082 0.711
0.628 0.711 0.531
0.628 0.418 0.098
0.711 0.531 0.628
0.820 0.531 0.402
0.969 0.789 0.872
0.789 0.872 0.969
0.711 0.680 0.082
0.418 0.098 0.628
0.402 0.820 0.531
0.082 0.711 0.680
0.098 0.628 0.418
0.531 0.402 0.820
0.082 0.872 0.402
0.969 0.680 0.098
0.180 0.469 0.598
0.680 0.098 0.969
0.789 0.418 0.820
0.402 0.082 0.872
0.872 0.969 0.789
0.582 0.180 0.211
0.128 0.598 0.918
0.902 0.031 0.320
0.469 0.372 0.289
0.320 0.918 0.289
0.372 0.289 0.469
0.372 0.582 0.902
0.289 0.469 0.372
0.128 0.031 0.211
0.598 0.918 0.128
0.211 0.582 0.180
0.180 0.211 0.582
0.320 0.902 0.031
0.031 0.320 0.902
0.918 0.128 0.598
0.469 0.598 0.180
0.902 0.372 0.582
0.918 0.289 0.320
0.598 0.180 0.469
0.582 0.902 0.372
0.289 0.320 0.918
0.211 0.128 0.031
0.031 0.211 0.128
0.820 0.789 0.418
```

total magnetization = 2.00 μB/f.u.
total DFT energy (no corrections) = -5.888 eV per atom
crystal system = cubic
formation energy = -200.1 kJ/mol of atoms

---

Record 5
VASP calculation (PBE with a Hubbard U) on a geometry-optimized MgFeAuO2 structure.

POSCAR file:
```
MgFeAuO2
1.0
-2.978 0.000 0.733
-1.579 2.629 0.000
-3.440 -0.277 -7.553
Mg Fe Au O
1 1 1 2
Direct
0.241 0.241 0.276
0.016 0.016 0.951
0.487 0.487 0.538
0.383 0.383 0.851
0.622 0.622 0.134
```

total magnetization = 4.71 μB/f.u.
total DFT energy (no corrections) = -5.292 eV per atom
relative energy among the computed polymorphs = 0 meV per atom
crystal system = trigonal
formation energy = -132.2 kJ/mol of atoms

---

Record 6
VASP calculation (PBE with a Hubbard U) on a geometry-optimized BaYFeCuO5 structure.

POSCAR file:
```
BaYFeCuO5
1.0
3.899 0.000 0.000
0.000 3.899 0.000
0.000 0.000 7.945
Ba Y Fe Cu O
1 1 1 1 5
Direct
0.500 0.500 0.998
0.500 0.500 0.464
0.000 0.000 0.705
0.000 0.000 0.255
0.500 0.000 0.636
0.000 0.500 0.636
0.500 0.000 0.277
0.000 0.500 0.277
0.000 0.000 0.940
```

total magnetization = 4.96 μB/f.u.
total DFT energy (no corrections) = -6.913 eV per atom
crystal system = tetragonal
formation energy = -238.1 kJ/mol of atoms

---

Record 7
VASP calculation (PBE with a Hubbard U) on a geometry-optimized Li9Co2O8 structure.

POSCAR file:
```
Li9Co2O8
1.0
-4.411 -3.973 3.224
1.671 -5.464 -4.447
5.719 -2.426 4.835
Li Co O
18 4 16
Direct
0.266 0.500 0.000
0.734 0.500 0.000
0.500 0.765 0.074
0.239 0.968 0.165
0.761 0.968 0.165
0.500 0.247 0.271
0.239 0.501 0.339
0.761 0.501 0.339
0.000 0.244 0.455
0.735 0.000 0.500
0.265 0.000 0.500
0.000 0.756 0.545
0.239 0.499 0.661
0.761 0.499 0.661
0.500 0.753 0.729
0.761 0.032 0.835
0.239 0.032 0.835
0.500 0.235 0.926
0.000 0.235 0.126
0.500 0.730 0.386
0.500 0.270 0.614
0.000 0.765 0.874
0.238 0.210 0.022
0.762 0.210 0.022
0.000 0.459 0.217
0.500 0.537 0.216
0.000 0.048 0.289
0.500 0.965 0.275
0.268 0.713 0.502
0.732 0.713 0.502
0.268 0.287 0.498
0.732 0.287 0.498
0.500 0.035 0.725
0.000 0.952 0.711
0.500 0.463 0.784
0.000 0.541 0.783
0.238 0.790 0.978
0.762 0.790 0.978
```

total magnetization = 9.00 μB/f.u.
total DFT energy (no corrections) = -5.107 eV per atom
relative energy among the computed polymorphs = 21 meV per atom
crystal system = monoclinic
formation energy = -176.9 kJ/mol of atoms

---

Record 8
VASP calculation (PBE with a Hubbard U) on a geometry-optimized P2W2O11 structure.

POSCAR file:
```
P2W2O11
1.0
6.319 0.000 0.000
0.000 8.169 0.000
0.000 0.000 16.169
P W O
8 8 44
Direct
0.750 0.588 0.585
0.250 0.412 0.415
0.250 0.088 0.915
0.750 0.912 0.085
0.750 0.994 0.757
0.250 0.006 0.243
0.250 0.494 0.743
0.750 0.506 0.257
0.250 0.730 0.562
0.750 0.270 0.438
0.750 0.230 0.938
0.250 0.770 0.062
0.250 0.088 0.699
0.750 0.912 0.301
0.750 0.588 0.801
0.250 0.412 0.199
0.250 0.547 0.481
0.750 0.453 0.519
0.750 0.047 0.019
0.250 0.953 0.981
0.250 0.534 0.653
0.750 0.466 0.347
0.750 0.034 0.847
0.250 0.966 0.153
0.444 0.298 0.431
0.944 0.702 0.569
0.556 0.798 0.069
0.056 0.202 0.931
0.556 0.702 0.569
0.056 0.298 0.431
0.250 0.308 0.760
0.444 0.202 0.931
0.250 0.631 0.158
0.750 0.369 0.842
0.750 0.131 0.342
0.250 0.869 0.658
0.250 0.313 0.106
0.750 0.687 0.894
0.750 0.813 0.394
0.250 0.187 0.606
0.250 0.613 0.991
0.750 0.387 0.009
0.750 0.113 0.509
0.250 0.887 0.491
0.944 0.429 0.211
0.444 0.571 0.789
0.056 0.929 0.289
0.556 0.071 0.711
0.056 0.571 0.789
0.556 0.429 0.211
0.944 0.071 0.711
0.444 0.929 0.289
0.250 0.485 0.329
0.750 0.515 0.671
0.750 0.985 0.171
0.250 0.015 0.829
0.250 0.192 0.260
0.750 0.808 0.740
0.750 0.692 0.240
0.944 0.798 0.069
```

total DFT energy (no corrections) = -7.367 eV per atom
relative energy among the computed polymorphs = 0 meV per atom
crystal system = orthorhombic
formation energy = -230.0 kJ/mol of atoms

---

Record 9
VASP calculation (PBE with a Hubbard U) on a geometry-optimized PrMgMn2O6 structure.

POSCAR file:
```
PrMgMn2O6
1.0
5.303 0.000 0.000
0.000 5.471 0.000
0.000 0.000 7.653
Pr Mg Mn O
2 2 4 12
Direct
0.010 0.707 0.000
0.510 0.293 0.500
0.477 0.190 0.000
0.977 0.810 0.500
0.000 0.248 0.751
0.000 0.248 0.249
0.500 0.752 0.251
0.500 0.752 0.749
0.078 0.204 0.500
0.223 0.974 0.803
0.223 0.974 0.197
0.307 0.446 0.193
0.307 0.446 0.807
0.375 0.729 0.500
0.578 0.796 0.000
0.723 0.026 0.697
0.723 0.026 0.303
0.807 0.554 0.693
0.807 0.554 0.307
0.875 0.271 0.000
```

total magnetization = 7.00 μB/f.u.
total DFT energy (no corrections) = -7.277 eV per atom
crystal system = orthorhombic
formation energy = -249.3 kJ/mol of atoms

---

Record 10
VASP calculation (PBE with a Hubbard U) on a geometry-optimized BaGdFe2O5 structure.

POSCAR file:
```
BaGdFe2O5
1.0
3.996 0.000 0.000
0.000 3.996 0.000
0.000 0.000 7.629
Ba Gd Fe O
1 1 2 5
Direct
0.000 0.000 0.000
0.000 0.000 0.500
0.500 0.500 0.267
0.500 0.500 0.733
0.500 0.000 0.310
0.500 0.000 0.690
0.000 0.500 0.310
0.000 0.500 0.690
0.500 0.500 0.000
```

total magnetization = 16.00 μB/f.u.
total DFT energy (no corrections) = -8.060 eV per atom
crystal system = tetragonal
formation energy = -244.6 kJ/mol of atoms

---

total DFT energy (no corrections) of number 8 (P2W2O11)?
-7.367 eV per atom